1.
{"formula": "LiCoPO4", "functional": "PBE+U", "state": "optimized geometry", "lattice": [[4.293, 0.000, 0.000], [0.000, 14.627, 0.000], [0.000, 0.000, 4.766]], "species": ["Li", "Li", "Li", "Li", "Co", "Co", "Co", "Co", "P", "P", "P", "P", "O", "O", "O", "O", "O", "O", "O", "O", "O", "O", "O", "O", "O", "O", "O", "O"], "fractional_positions": [[0.000, 0.249, 0.250], [0.000, 0.751, 0.750], [0.500, 0.251, 0.750], [0.500, 0.749, 0.250], [0.000, 0.063, 0.750], [0.000, 0.937, 0.250], [0.500, 0.437, 0.250], [0.500, 0.563, 0.750], [0.000, 0.387, 0.750], [0.000, 0.613, 0.250], [0.500, 0.113, 0.250], [0.500, 0.887, 0.750], [0.187, 0.328, 0.536], [0.187, 0.672, 0.036], [0.236, 0.448, 0.914], [0.236, 0.552, 0.414], [0.264, 0.052, 0.414], [0.264, 0.948, 0.914], [0.313, 0.172, 0.036], [0.313, 0.828, 0.536], [0.687, 0.172, 0.464], [0.687, 0.828, 0.964], [0.736, 0.052, 0.086], [0.736, 0.948, 0.586], [0.764, 0.448, 0.586], [0.764, 0.552, 0.086], [0.813, 0.328, 0.964], [0.813, 0.672, 0.464]], "polymorph_energy_mev_per_atom": 86, "volume_a3_per_atom": 10.7, "formation_enthalpy_0k_ev_per_atom": -2.322}

***

2.
{"formula": "Y2V10O53", "functional": "PBE+U", "state": "optimized geometry", "lattice": [[8.754, 0.000, 0.000], [-0.348, 10.039, 0.000], [-2.966, -4.653, 11.159]], "species": ["Y", "Y", "V", "V", "V", "V", "V", "V", "V", "V", "V", "V", "O", "O", "O", "O", "O", "O", "O", "O", "O", "O", "O", "O", "O", "O", "O", "O", "O", "O", "O", "O", "O", "O", "O", "O", "O", "O", "O", "O", "O", "O", "O", "O", "O", "O", "O", "O", "O", "O", "O", "O", "O", "O", "O", "O", "O", "O", "O", "O", "O", "O", "O", "O", "O"], "fractional_positions": [[0.000, 0.000, 0.000], [0.219, 0.360, 0.727], [0.394, 0.830, 0.553], [0.416, 0.675, 0.301], [0.483, 0.511, 0.052], [0.510, 0.533, 0.493], [0.586, 0.374, 0.252], [0.649, 0.960, 0.476], [0.722, 0.801, 0.233], [0.749, 0.823, 0.675], [0.818, 0.660, 0.428], [0.838, 0.506, 0.175], [0.008, 0.355, 0.015], [0.016, 0.633, 0.975], [0.024, 0.217, 0.981], [0.030, 0.425, 0.140], [0.049, 0.111, 0.448], [0.053, 0.164, 0.217], [0.055, 0.380, 0.519], [0.170, 0.963, 0.224], [0.180, 0.178, 0.515], [0.183, 0.233, 0.283], [0.186, 0.128, 0.734], [0.206, 0.913, 0.592], [0.223, 0.898, 0.985], [0.239, 0.004, 0.717], [0.245, 0.028, 0.981], [0.245, 0.603, 0.739], [0.267, 0.743, 0.354], [0.288, 0.049, 0.288], [0.346, 0.597, 0.139], [0.346, 0.641, 0.529], [0.371, 0.447, 0.904], [0.381, 0.695, 0.795], [0.420, 0.493, 0.317], [0.454, 0.385, 0.507], [0.459, 0.980, 0.516], [0.474, 0.362, 0.098], [0.508, 0.639, 0.810], [0.528, 0.880, 0.690], [0.531, 0.218, 0.252], [0.535, 0.841, 0.302], [0.563, 0.740, 0.468], [0.566, 0.227, 0.770], [0.582, 0.690, 0.086], [0.584, 0.008, 0.982], [0.619, 0.307, 0.728], [0.650, 0.642, 0.642], [0.672, 0.593, 0.261], [0.698, 0.493, 0.425], [0.702, 0.084, 0.988], [0.704, 0.115, 0.475], [0.706, 0.455, 0.039], [0.760, 0.972, 0.630], [0.775, 0.354, 0.213], [0.776, 0.947, 0.217], [0.813, 0.841, 0.411], [0.859, 0.887, 0.824], [0.886, 0.737, 0.590], [0.887, 0.695, 0.200], [0.941, 0.289, 0.450], [0.952, 0.743, 0.000], [0.967, 0.592, 0.375], [0.972, 0.326, 0.743], [0.994, 0.460, 0.748]], "polymorph_energy_mev_per_atom": 0, "volume_a3_per_atom": 15.1, "formation_enthalpy_0k_ev_per_atom": -1.079}

***

3.
{"formula": "FePtO2", "functional": "PBE+U", "state": "optimized geometry", "lattice": [[-0.756, 1.348, 2.562], [0.753, -4.448, 2.566], [5.652, 3.028, 0.072]], "species": ["Fe", "Fe", "O", "O", "O", "O", "Pt", "Pt"], "fractional_positions": [[0.000, 0.500, 0.500], [0.500, 0.000, 0.500], [0.000, 0.111, 0.329], [0.500, 0.389, 0.671], [0.000, 0.889, 0.671], [0.500, 0.611, 0.329], [0.500, 0.500, 0.000], [0.000, 0.000, 0.000]], "volume_a3_per_atom": 12.0, "formation_enthalpy_0k_ev_per_atom": -1.174}

***

4.
{"formula": "Ba2MgNi2O6", "functional": "PBE+U", "state": "optimized geometry", "lattice": [[5.071, -2.855, 0.000], [5.071, 2.855, 0.000], [-1.592, 0.000, 5.238]], "species": ["Ba", "Ba", "Mg", "Ni", "Ni", "O", "O", "O", "O", "O", "O"], "fractional_positions": [[0.000, 0.000, 0.000], [0.738, 0.738, 0.372], [0.593, 0.593, 0.784], [0.316, 0.316, 0.741], [0.357, 0.357, 0.236], [0.213, 0.213, 0.384], [0.245, 0.675, 0.517], [0.490, 0.490, 0.043], [0.497, 0.994, 0.939], [0.675, 0.245, 0.517], [0.994, 0.497, 0.939]], "polymorph_energy_mev_per_atom": 52, "volume_a3_per_atom": 13.8, "formation_enthalpy_0k_ev_per_atom": -1.897}

***

5.
{"formula": "LaYFe2As2O2", "functional": "PBE+U", "state": "optimized geometry", "lattice": [[4.114, 0.000, 0.000], [0.000, 4.114, 0.000], [0.000, 0.000, 8.981]], "species": ["La", "Y", "Fe", "Fe", "As", "As", "O", "O"], "fractional_positions": [[0.000, 0.000, 0.000], [0.500, 0.500, 0.750], [0.000, 0.500, 0.372], [0.500, 0.000, 0.372], [0.000, 0.000, 0.549], [0.500, 0.500, 0.196], [0.000, 0.500, 0.863], [0.500, 0.000, 0.863]], "volume_a3_per_atom": 19.0, "formation_enthalpy_0k_ev_per_atom": -1.691}

***

6.
{"formula": "K2MoSe2O11", "functional": "PBE+U", "state": "optimized geometry", "lattice": [[10.817, 0.000, 0.000], [0.000, 12.341, 0.000], [-3.606, 0.000, 8.708]], "species": ["K", "K", "K", "K", "K", "K", "K", "K", "Mo", "Mo", "Mo", "Mo", "Se", "Se", "Se", "Se", "Se", "Se", "Se", "Se", "O", "O", "O", "O", "O", "O", "O", "O", "O", "O", "O", "O", "O", "O", "O", "O", "O", "O", "O", "O", "O", "O", "O", "O", "O", "O", "O", "O", "O", "O", "O", "O", "O", "O", "O", "O", "O", "O", "O", "O", "O", "O", "O", "O"], "fractional_positions": [[0.175, 0.148, 0.375], [0.175, 0.352, 0.875], [0.246, 0.642, 0.542], [0.246, 0.858, 0.042], [0.754, 0.142, 0.958], [0.754, 0.358, 0.458], [0.825, 0.648, 0.125], [0.825, 0.852, 0.625], [0.435, 0.152, 0.142], [0.435, 0.348, 0.642], [0.565, 0.652, 0.358], [0.565, 0.848, 0.858], [0.334, 0.116, 0.766], [0.334, 0.384, 0.266], [0.407, 0.629, 0.977], [0.407, 0.871, 0.477], [0.593, 0.129, 0.523], [0.593, 0.371, 0.023], [0.666, 0.616, 0.734], [0.666, 0.884, 0.234], [0.005, 0.567, 0.708], [0.005, 0.933, 0.208], [0.018, 0.094, 0.926], [0.018, 0.406, 0.426], [0.136, 0.664, 0.208], [0.136, 0.836, 0.708], [0.205, 0.042, 0.651], [0.205, 0.458, 0.151], [0.261, 0.680, 0.855], [0.261, 0.820, 0.355], [0.287, 0.245, 0.682], [0.287, 0.255, 0.182], [0.290, 0.143, 0.932], [0.290, 0.357, 0.432], [0.385, 0.040, 0.224], [0.385, 0.460, 0.724], [0.436, 0.707, 0.148], [0.436, 0.793, 0.648], [0.442, 0.602, 0.418], [0.442, 0.898, 0.918], [0.468, 0.180, 0.576], [0.468, 0.320, 0.076], [0.532, 0.680, 0.924], [0.532, 0.820, 0.424], [0.558, 0.102, 0.082], [0.558, 0.398, 0.582], [0.564, 0.207, 0.352], [0.564, 0.293, 0.852], [0.615, 0.540, 0.276], [0.615, 0.960, 0.776], [0.710, 0.643, 0.568], [0.710, 0.857, 0.068], [0.713, 0.745, 0.818], [0.713, 0.755, 0.318], [0.739, 0.180, 0.645], [0.739, 0.320, 0.145], [0.795, 0.542, 0.849], [0.795, 0.958, 0.349], [0.864, 0.164, 0.292], [0.864, 0.336, 0.792], [0.982, 0.594, 0.574], [0.982, 0.906, 0.074], [0.995, 0.067, 0.792], [0.995, 0.433, 0.292]], "volume_a3_per_atom": 18.2, "formation_enthalpy_0k_ev_per_atom": -1.012}

***

7.
{"formula": "FePO6", "functional": "PBE+U", "state": "optimized geometry", "lattice": [[5.453, 0.000, 0.000], [0.000, 9.963, 0.000], [-5.417, 0.000, 8.511]], "species": ["Fe", "Fe", "Fe", "Fe", "P", "P", "P", "P", "O", "O", "O", "O", "O", "O", "O", "O", "O", "O", "O", "O", "O", "O", "O", "O", "O", "O", "O", "O", "O", "O", "O", "O"], "fractional_positions": [[0.207, 0.176, 0.286], [0.207, 0.324, 0.786], [0.793, 0.676, 0.214], [0.793, 0.824, 0.714], [0.408, 0.650, 0.813], [0.408, 0.850, 0.313], [0.592, 0.150, 0.687], [0.592, 0.350, 0.187], [0.019, 0.559, 0.148], [0.019, 0.941, 0.648], [0.039, 0.076, 0.066], [0.039, 0.424, 0.566], [0.106, 0.696, 0.772], [0.106, 0.804, 0.272], [0.366, 0.193, 0.514], [0.366, 0.307, 0.014], [0.415, 0.006, 0.304], [0.415, 0.494, 0.804], [0.496, 0.709, 0.705], [0.496, 0.791, 0.205], [0.504, 0.209, 0.795], [0.504, 0.291, 0.295], [0.585, 0.506, 0.196], [0.585, 0.994, 0.696], [0.634, 0.693, 0.986], [0.634, 0.807, 0.486], [0.894, 0.196, 0.728], [0.894, 0.304, 0.228], [0.961, 0.576, 0.434], [0.961, 0.924, 0.934], [0.981, 0.059, 0.352], [0.981, 0.441, 0.852]], "polymorph_energy_mev_per_atom": 198, "volume_a3_per_atom": 14.4, "formation_enthalpy_0k_ev_per_atom": -1.270}

***

8.
{"formula": "KMg6WO8", "functional": "PBE+U", "state": "optimized geometry", "lattice": [[4.477, 0.000, 0.000], [0.000, 4.477, 0.000], [0.000, 0.000, 8.968]], "species": ["K", "Mg", "Mg", "Mg", "Mg", "Mg", "Mg", "W", "O", "O", "O", "O", "O", "O", "O", "O"], "fractional_positions": [[0.000, 0.000, 0.000], [0.000, 0.500, 0.234], [0.000, 0.500, 0.766], [0.500, 0.000, 0.234], [0.500, 0.000, 0.766], [0.500, 0.500, 0.000], [0.500, 0.500, 0.500], [0.000, 0.000, 0.500], [0.000, 0.000, 0.267], [0.000, 0.000, 0.733], [0.000, 0.500, 0.000], [0.000, 0.500, 0.500], [0.500, 0.000, 0.000], [0.500, 0.000, 0.500], [0.500, 0.500, 0.255], [0.500, 0.500, 0.745]], "polymorph_energy_mev_per_atom": 43, "volume_a3_per_atom": 11.2, "formation_enthalpy_0k_ev_per_atom": -2.389}

***

9.
{"formula": "CsFeCuF6", "functional": "PBE+U", "state": "optimized geometry", "lattice": [[-3.656, 3.767, 5.314], [3.656, -3.767, 5.314], [3.656, 3.767, -5.314]], "species": ["Cs", "Cs", "Fe", "Fe", "Cu", "Cu", "F", "F", "F", "F", "F", "F", "F", "F", "F", "F", "F", "F"], "fractional_positions": [[0.373, 0.123, 0.250], [0.627, 0.877, 0.750], [0.000, 0.500, 0.500], [0.500, 0.500, 0.000], [0.000, 0.000, 0.500], [0.000, 0.500, 0.000], [0.068, 0.818, 0.250], [0.071, 0.429, 0.258], [0.071, 0.813, 0.641], [0.315, 0.565, 0.750], [0.328, 0.187, 0.758], [0.328, 0.571, 0.141], [0.672, 0.429, 0.859], [0.672, 0.813, 0.242], [0.685, 0.435, 0.250], [0.929, 0.187, 0.359], [0.929, 0.571, 0.742], [0.932, 0.182, 0.750]], "volume_a3_per_atom": 16.3, "formation_enthalpy_0k_ev_per_atom": -2.502}

***

10.
{"formula": "Li2CrP2O7", "functional": "PBE+U", "state": "optimized geometry", "lattice": [[5.929, 1.730, 4.338], [-7.854, 4.025, 3.310], [-5.139, -6.846, 3.837]], "species": ["O", "O", "O", "O", "O", "O", "O", "O", "O", "O", "O", "O", "O", "O", "O", "O", "O", "O", "O", "O", "O", "O", "O", "O", "O", "O", "O", "O", "Li", "Li", "Li", "Li", "Li", "Li", "Li", "Li", "Cr", "Cr", "Cr", "Cr", "P", "P", "P", "P", "P", "P", "P", "P"], "fractional_positions": [[0.742, 0.191, 0.940], [0.258, 0.309, 0.560], [0.199, 0.195, 0.226], [0.579, 0.916, 0.885], [0.803, 0.033, 0.549], [0.869, 0.504, 0.755], [0.582, 0.644, 0.160], [0.096, 0.922, 0.174], [0.800, 0.805, 0.774], [0.130, 0.996, 0.745], [0.904, 0.578, 0.326], [0.418, 0.856, 0.340], [0.197, 0.967, 0.451], [0.742, 0.691, 0.440], [0.582, 0.144, 0.660], [0.803, 0.533, 0.049], [0.801, 0.305, 0.274], [0.904, 0.078, 0.826], [0.421, 0.084, 0.115], [0.130, 0.496, 0.245], [0.200, 0.695, 0.726], [0.258, 0.809, 0.060], [0.418, 0.356, 0.840], [0.579, 0.416, 0.385], [0.421, 0.584, 0.615], [0.096, 0.422, 0.674], [0.869, 0.004, 0.255], [0.197, 0.467, 0.951], [0.286, 0.857, 0.857], [0.713, 0.393, 0.893], [0.714, 0.143, 0.143], [0.714, 0.643, 0.643], [0.287, 0.107, 0.606], [0.287, 0.607, 0.106], [0.713, 0.893, 0.393], [0.286, 0.357, 0.357], [0.300, 0.771, 0.529], [0.300, 0.271, 0.029], [0.701, 0.229, 0.472], [0.700, 0.729, 0.972], [0.086, 0.527, 0.782], [0.691, 0.584, 0.330], [0.309, 0.916, 0.171], [0.691, 0.084, 0.830], [0.914, 0.973, 0.718], [0.914, 0.473, 0.218], [0.086, 0.027, 0.282], [0.309, 0.416, 0.670]], "polymorph_energy_mev_per_atom": 29, "volume_a3_per_atom": 11.9, "formation_enthalpy_0k_ev_per_atom": -2.631}

***

11.
{"formula": "K2Fe2P2O7F2", "functional": "PBE+U", "state": "optimized geometry", "lattice": [[6.944, 0.000, 0.000], [0.000, 11.414, 0.000], [0.000, 0.000, 10.579]], "species": ["K", "K", "K", "K", "K", "K", "K", "K", "Fe", "Fe", "Fe", "Fe", "Fe", "Fe", "Fe", "Fe", "P", "P", "P", "P", "P", "P", "P", "P", "O", "O", "O", "O", "O", "O", "O", "O", "O", "O", "O", "O", "O", "O", "O", "O", "O", "O", "O", "O", "O", "O", "O", "O", "O", "O", "O", "O", "F", "F", "F", "F", "F", "F", "F", "F"], "fractional_positions": [[0.001, 0.173, 0.066], [0.001, 0.827, 0.566], [0.499, 0.327, 0.566], [0.499, 0.673, 0.066], [0.501, 0.327, 0.934], [0.501, 0.673, 0.434], [0.999, 0.173, 0.434], [0.999, 0.827, 0.934], [0.000, 0.336, 0.750], [0.000, 0.500, 0.000], [0.000, 0.500, 0.500], [0.000, 0.664, 0.250], [0.500, 0.000, 0.000], [0.500, 0.000, 0.500], [0.500, 0.164, 0.250], [0.500, 0.836, 0.750], [0.218, 0.079, 0.751], [0.218, 0.921, 0.251], [0.282, 0.421, 0.251], [0.282, 0.579, 0.751], [0.718, 0.421, 0.249], [0.718, 0.579, 0.749], [0.782, 0.079, 0.749], [0.782, 0.921, 0.249], [0.000, 0.022, 0.750], [0.000, 0.978, 0.250], [0.174, 0.487, 0.671], [0.174, 0.513, 0.171], [0.206, 0.201, 0.691], [0.206, 0.799, 0.191], [0.220, 0.417, 0.390], [0.220, 0.583, 0.890], [0.280, 0.083, 0.890], [0.280, 0.917, 0.390], [0.294, 0.299, 0.191], [0.294, 0.701, 0.691], [0.326, 0.013, 0.171], [0.326, 0.987, 0.671], [0.500, 0.478, 0.250], [0.500, 0.522, 0.750], [0.674, 0.013, 0.329], [0.674, 0.987, 0.829], [0.706, 0.299, 0.309], [0.706, 0.701, 0.809], [0.720, 0.083, 0.610], [0.720, 0.917, 0.110], [0.780, 0.417, 0.110], [0.780, 0.583, 0.610], [0.794, 0.201, 0.809], [0.794, 0.799, 0.309], [0.826, 0.487, 0.829], [0.826, 0.513, 0.329], [0.116, 0.344, 0.924], [0.116, 0.656, 0.424], [0.384, 0.156, 0.424], [0.384, 0.844, 0.924], [0.616, 0.156, 0.076], [0.616, 0.844, 0.576], [0.884, 0.344, 0.576], [0.884, 0.656, 0.076]], "polymorph_energy_mev_per_atom": 44, "volume_a3_per_atom": 14.0, "formation_enthalpy_0k_ev_per_atom": -2.438}

***

The records above yield total energy values of -6.58, -6.45, -6.38, -5.30, -6.90, -5.36, -5.92, -5.72, -4.72, -6.97, -6.32 eV per atom, respectively.